<w>
A relaxed CaMo2O4 crystal, computed with PBE+U.

Space-group type ... No. 160
Density ... 4.781 Mg/m³

a b c (Å): 6.664 6.664 6.664
angles (deg): 59.22 59.22 59.22
Element x y z (fractional)
Ca1 0.000 0.000 0.000
Ca2 0.374 0.374 0.374
Mo1 0.494 0.996 0.996
Mo2 0.593 0.593 0.593
Mo3 0.996 0.494 0.996
Mo4 0.996 0.996 0.494
O1 0.223 0.748 0.748
O2 0.232 0.232 0.232
O3 0.246 0.246 0.789
O4 0.246 0.789 0.246
O5 0.748 0.223 0.748
O6 0.748 0.748 0.223
O7 0.765 0.765 0.765
O8 0.789 0.246 0.246


<x>
A relaxed CaMo2O4 crystal, computed with PBE+U.

Space-group type ... No. 8
Density ... 4.880 Mg/m³

a b c (Å): 6.615 6.615 16.077
angles (deg): 91.29 91.29 59.23
Element x y z (fractional)
Ca1 0.000 0.000 0.000
Ca2 0.001 0.001 0.622
Ca3 0.333 0.333 0.335
Ca4 0.334 0.334 0.580
Ca5 0.665 0.665 0.915
Ca6 0.999 0.999 0.249
Mo1 0.166 0.166 0.792
Mo2 0.168 0.659 0.792
Mo3 0.333 0.333 0.959
Mo4 0.334 0.835 0.458
Mo5 0.500 0.500 0.124
Mo6 0.504 0.996 0.124
Mo7 0.659 0.168 0.792
Mo8 0.664 0.664 0.667
Mo9 0.666 0.666 0.291
Mo10 0.835 0.334 0.458
Mo11 0.837 0.837 0.457
Mo12 0.996 0.504 0.124
O1 0.001 0.001 0.858
O2 0.044 0.480 0.869
O3 0.153 0.153 0.532
O4 0.163 0.695 0.530
O5 0.186 0.624 0.048
O6 0.188 0.188 0.043
O7 0.327 0.826 0.724
O8 0.328 0.328 0.723
O9 0.337 0.337 0.193
O10 0.376 0.816 0.201
O11 0.476 0.476 0.871
O12 0.480 0.044 0.869
O13 0.518 0.958 0.381
O14 0.522 0.522 0.377
O15 0.624 0.186 0.048
O16 0.663 0.663 0.055
O17 0.679 0.679 0.534
O18 0.695 0.163 0.530
O19 0.811 0.811 0.204
O20 0.816 0.376 0.201
O21 0.826 0.327 0.724
O22 0.840 0.840 0.712
O23 0.958 0.518 0.381
O24 0.999 0.999 0.389


Stability check: which of them is most stable? <x>.


<w>
A relaxed LiVSiO4 crystal, computed with PBE+U.

Space-group type ... No. 95
Density ... 3.699 Mg/m³

a b c (Å): 5.796 5.796 8.018
angles (deg): 90.00 90.00 90.00
Element x y z (fractional)
Li1 0.000 0.213 0.000
Li2 0.000 0.787 0.500
Li3 0.213 0.000 0.250
Li4 0.787 0.000 0.750
V1 0.226 0.500 0.250
V2 0.500 0.226 0.000
V3 0.500 0.774 0.500
V4 0.774 0.500 0.750
Si1 0.257 0.257 0.625
Si2 0.257 0.743 0.875
Si3 0.743 0.257 0.375
Si4 0.743 0.743 0.125
O1 0.023 0.260 0.740
O2 0.023 0.740 0.760
O3 0.260 0.023 0.510
O4 0.260 0.977 0.990
O5 0.262 0.494 0.500
O6 0.262 0.506 0.000
O7 0.494 0.262 0.750
O8 0.494 0.738 0.750
O9 0.506 0.262 0.250
O10 0.506 0.738 0.250
O11 0.738 0.494 0.500
O12 0.738 0.506 0.000
O13 0.740 0.023 0.490
O14 0.740 0.977 0.010
O15 0.977 0.260 0.260
O16 0.977 0.740 0.240


<x>
A relaxed LiVSiO4 crystal, computed with PBE+U.

Space-group type ... No. 62
Density ... 3.512 Mg/m³

a b c (Å): 9.158 6.311 4.907
angles (deg): 90.00 90.00 90.00
Element x y z (fractional)
Li1 0.166 0.250 0.022
Li2 0.334 0.750 0.522
Li3 0.666 0.250 0.478
Li4 0.834 0.750 0.978
V1 0.000 0.000 0.500
V2 0.000 0.500 0.500
V3 0.500 0.000 0.000
V4 0.500 0.500 0.000
Si1 0.178 0.750 0.023
Si2 0.322 0.250 0.523
Si3 0.678 0.750 0.477
Si4 0.822 0.250 0.977
O1 0.119 0.535 0.171
O2 0.119 0.965 0.171
O3 0.125 0.750 0.698
O4 0.142 0.250 0.591
O5 0.358 0.750 0.091
O6 0.375 0.250 0.198
O7 0.381 0.035 0.671
O8 0.381 0.465 0.671
O9 0.619 0.535 0.329
O10 0.619 0.965 0.329
O11 0.625 0.750 0.802
O12 0.642 0.250 0.909
O13 0.858 0.750 0.409
O14 0.875 0.250 0.302
O15 0.881 0.035 0.829
O16 0.881 0.465 0.829


Stability check: which of them is most stable? <x>.


<w>
A relaxed MgZnFe4O8 crystal, computed with PBE+U.

Space-group type ... No. 8
Density ... 4.474 Mg/m³

a b c (Å): 7.642 7.642 9.343
angles (deg): 127.57 127.57 22.53
Element x y z (fractional)
Mg1 0.000 0.000 0.000
Zn1 0.629 0.629 0.598
Fe1 0.174 0.174 0.982
Fe2 0.456 0.456 0.618
Fe3 0.690 0.690 0.357
Fe4 0.939 0.939 0.240
O1 0.094 0.094 0.712
O2 0.150 0.150 0.466
O3 0.175 0.175 0.204
O4 0.451 0.451 0.392
O5 0.478 0.478 0.128
O6 0.536 0.536 0.888
O7 0.775 0.775 0.043
O8 0.854 0.854 0.558


<x>
A relaxed MgZnFe4O8 crystal, computed with PBE+U.

Space-group type ... No. 8
Density ... 4.198 Mg/m³

a b c (Å): 7.741 7.741 9.944
angles (deg): 128.39 128.39 22.22
Element x y z (fractional)
Mg1 0.000 0.000 0.000
Zn1 0.783 0.783 0.265
Fe1 0.122 0.122 0.898
Fe2 0.334 0.334 0.659
Fe3 0.636 0.636 0.344
Fe4 0.836 0.836 0.020
O1 0.029 0.029 0.229
O2 0.264 0.264 0.394
O3 0.311 0.311 0.140
O4 0.378 0.378 0.926
O5 0.613 0.613 0.054
O6 0.669 0.669 0.835
O7 0.726 0.726 0.586
O8 0.952 0.952 0.754


Stability check: which of them is most stable? <w>.


<w>
A relaxed LiMnPH2O5 crystal, computed with PBE+U.

Space-group type ... No. 33
Density ... 2.455 Mg/m³

a b c (Å): 11.187 8.201 5.157
angles (deg): 90.00 90.00 90.00
Element x y z (fractional)
Li1 0.116 0.123 0.000
Li2 0.384 0.623 0.500
Li3 0.616 0.377 0.000
Li4 0.884 0.877 0.500
Mn1 0.196 0.312 0.506
Mn2 0.304 0.812 0.006
Mn3 0.696 0.188 0.506
Mn4 0.804 0.688 0.006
P1 0.164 0.912 0.496
P2 0.336 0.412 0.996
P3 0.664 0.588 0.496
P4 0.836 0.088 0.996
H1 0.010 0.570 0.178
H2 0.040 0.688 0.949
H3 0.460 0.188 0.449
H4 0.490 0.070 0.678
H5 0.510 0.930 0.178
H6 0.540 0.812 0.949
H7 0.960 0.312 0.449
H8 0.990 0.430 0.678
O1 0.011 0.404 0.497
O2 0.048 0.823 0.432
O3 0.168 0.084 0.363
O4 0.180 0.937 0.796
O5 0.223 0.315 0.899
O6 0.277 0.815 0.399
O7 0.320 0.437 0.296
O8 0.332 0.584 0.863
O9 0.452 0.323 0.932
O10 0.489 0.904 0.997
O11 0.511 0.096 0.497
O12 0.548 0.677 0.432
O13 0.668 0.416 0.363
O14 0.680 0.563 0.796
O15 0.723 0.185 0.899
O16 0.777 0.685 0.399
O17 0.820 0.063 0.296
O18 0.832 0.916 0.863
O19 0.952 0.177 0.932
O20 0.989 0.596 0.997


<x>
A relaxed LiMnPH2O5 crystal, computed with PBE+U.

Space-group type ... No. 29
Density ... 2.581 Mg/m³

a b c (Å): 17.142 5.140 10.214
angles (deg): 90.00 90.00 90.00
Element x y z (fractional)
Li1 0.054 0.098 0.000
Li2 0.193 0.472 0.229
Li3 0.307 0.472 0.729
Li4 0.446 0.098 0.500
Li5 0.554 0.902 0.000
Li6 0.693 0.528 0.229
Li7 0.807 0.528 0.729
Li8 0.946 0.902 0.500
Mn1 0.000 0.465 0.263
Mn2 0.000 0.535 0.763
Mn3 0.249 0.092 0.971
Mn4 0.251 0.092 0.471
Mn5 0.500 0.465 0.763
Mn6 0.500 0.535 0.263
Mn7 0.749 0.908 0.971
Mn8 0.751 0.908 0.471
P1 0.093 0.990 0.306
P2 0.158 0.590 0.925
P3 0.342 0.590 0.425
P4 0.407 0.990 0.806
P5 0.593 0.010 0.306
P6 0.658 0.410 0.925
P7 0.842 0.410 0.425
P8 0.907 0.010 0.806
H1 0.057 0.340 0.529
H2 0.123 0.370 0.634
H3 0.124 0.909 0.584
H4 0.189 0.834 0.691
H5 0.311 0.834 0.191
H6 0.376 0.909 0.084
H7 0.377 0.370 0.134
H8 0.443 0.340 0.029
H9 0.557 0.660 0.529
H10 0.623 0.630 0.634
H11 0.624 0.091 0.584
H12 0.689 0.166 0.691
H13 0.811 0.166 0.191
H14 0.876 0.091 0.084
H15 0.877 0.630 0.134
H16 0.943 0.660 0.029
O1 0.047 0.042 0.435
O2 0.048 0.124 0.192
O3 0.076 0.456 0.913
O4 0.076 0.457 0.600
O5 0.100 0.693 0.278
O6 0.147 0.880 0.965
O7 0.173 0.970 0.624
O8 0.176 0.113 0.315
O9 0.203 0.577 0.794
O10 0.204 0.444 0.035
O11 0.296 0.444 0.535
O12 0.297 0.577 0.294
O13 0.324 0.113 0.815
O14 0.327 0.970 0.124
O15 0.353 0.880 0.465
O16 0.400 0.693 0.778
O17 0.424 0.456 0.413
O18 0.424 0.457 0.100
O19 0.452 0.124 0.692
O20 0.453 0.042 0.935
O21 0.547 0.958 0.435
O22 0.548 0.876 0.192
O23 0.576 0.543 0.600
O24 0.576 0.544 0.913
O25 0.600 0.307 0.278
O26 0.647 0.120 0.965
O27 0.673 0.030 0.624
O28 0.676 0.887 0.315
O29 0.703 0.423 0.794
O30 0.704 0.556 0.035
O31 0.796 0.556 0.535
O32 0.797 0.423 0.294
O33 0.824 0.887 0.815
O34 0.827 0.030 0.124
O35 0.853 0.120 0.465
O36 0.900 0.307 0.778
O37 0.924 0.543 0.100
O38 0.924 0.544 0.413
O39 0.952 0.876 0.692
O40 0.953 0.958 0.935


<y>
A relaxed LiMnPH2O5 crystal, computed with PBE+U.

Space-group type ... No. 31
Density ... 2.532 Mg/m³

a b c (Å): 5.653 8.357 4.855
angles (deg): 90.00 90.00 90.00
Element x y z (fractional)
Li1 0.000 0.067 0.000
Li2 0.500 0.933 0.500
Mn1 0.000 0.480 0.138
Mn2 0.500 0.520 0.638
P1 0.000 0.723 0.708
P2 0.500 0.277 0.208
H1 0.138 0.286 0.679
H2 0.362 0.714 0.179
H3 0.638 0.714 0.179
H4 0.862 0.286 0.679
O1 0.000 0.274 0.804
O2 0.000 0.683 0.400
O3 0.000 0.904 0.754
O4 0.220 0.641 0.853
O5 0.280 0.359 0.353
O6 0.500 0.096 0.254
O7 0.500 0.317 0.900
O8 0.500 0.726 0.304
O9 0.720 0.359 0.353
O10 0.780 0.641 0.853


Stability check: which of them is most stable? <x>.